Material: KV2PO11
Method: DFT, GGA+U
State: relaxed

Unit cell a=7.1393 b=9.8391 c=12.5669 alpha=90.00 beta=90.00 gamma=90.00
With the nearest neighbours (Å) after each atom.
Sites, in units of the cell vectors:
K (0.2247, 0.2185, 0.2703)  5 O 2.72-3.04
K (0.2753, 0.7815, 0.7703)  5 O 2.72-3.04
K (0.7247, 0.2815, 0.7297)  5 O 2.72-3.04
K (0.7753, 0.7185, 0.2297)  5 O 2.72-3.04
V (0.0238, 0.7832, 0.4919)  2 O 1.68-1.75
V (0.2090, 0.4464, 0.5903)  1 O 1.64
V (0.2910, 0.5536, 0.0903)  1 O 1.64
V (0.4762, 0.2168, 0.9919)  2 O 1.68-1.75
V (0.5238, 0.7168, 0.5081)  2 O 1.68-1.75
V (0.7090, 0.0536, 0.4097)  1 O 1.64
V (0.7910, 0.9464, 0.9097)  1 O 1.64
V (0.9762, 0.2832, 0.0081)  2 O 1.68-1.75
P (0.2449, 0.5670, 0.3548)  4 O 1.53-1.56
P (0.2551, 0.4330, 0.8548)  4 O 1.53-1.56
P (0.7449, 0.9330, 0.6452)  4 O 1.53-1.56
P (0.7551, 0.0670, 0.1452)  4 O 1.53-1.56
O (0.0168, 0.3573, 0.6039)  1 V 1.64
O (0.0415, 0.4226, 0.0765)  1 V 1.68
O (0.0693, 0.3530, 0.8730)  1 P 1.56
O (0.0760, 0.6660, 0.3678)  1 P 1.56
O (0.0877, 0.6150, 0.5810)  2 V 1.88-2.05
O (0.1146, 0.6964, 0.1031)  1 O 1.62
O (0.2139, 0.8445, 0.1028)  1 O 1.25
O (0.2194, 0.8977, 0.1927)  1 O 1.25
O (0.2300, 0.4458, 0.4339)  1 P 1.56
O (0.2372, 0.1945, 0.0190)  1 V 1.75
O (0.2445, 0.5054, 0.2429)  1 P 1.53
O (0.2555, 0.4946, 0.7429)  1 P 1.53
O (0.2628, 0.8055, 0.5190)  1 V 1.75
O (0.2700, 0.5542, 0.9339)  1 P 1.56
O (0.2806, 0.1023, 0.6927)  1 O 1.25
O (0.2861, 0.1555, 0.6028)  1 O 1.25
O (0.3854, 0.3036, 0.6031)  1 O 1.62
O (0.4123, 0.3850, 0.0810)  2 V 1.88-2.05
O (0.4240, 0.3340, 0.8678)  1 P 1.56
O (0.4307, 0.6470, 0.3730)  1 P 1.56
O (0.4585, 0.5774, 0.5765)  1 V 1.68
O (0.4832, 0.6427, 0.1039)  1 V 1.64
O (0.5168, 0.1427, 0.3961)  1 V 1.64
O (0.5415, 0.0774, 0.9235)  1 V 1.68
O (0.5693, 0.1470, 0.1270)  1 P 1.56
O (0.5760, 0.8340, 0.6322)  1 P 1.56
O (0.5877, 0.8850, 0.4190)  2 V 1.88-2.05
O (0.6146, 0.8036, 0.8969)  1 O 1.62
O (0.7139, 0.6555, 0.8972)  1 O 1.25
O (0.7194, 0.6023, 0.8073)  1 O 1.25
O (0.7300, 0.0542, 0.5661)  1 P 1.56
O (0.7372, 0.3055, 0.9810)  1 V 1.75
O (0.7445, 0.9946, 0.7571)  1 P 1.53
O (0.7555, 0.0054, 0.2571)  1 P 1.53
O (0.7628, 0.6945, 0.4810)  1 V 1.75
O (0.7700, 0.9458, 0.0661)  1 P 1.56
O (0.7806, 0.3977, 0.3073)  1 O 1.25
O (0.7861, 0.3445, 0.3972)  1 O 1.25
O (0.8854, 0.1964, 0.3969)  1 O 1.62
O (0.9123, 0.1150, 0.9190)  2 V 1.88-2.05
O (0.9240, 0.1660, 0.1322)  1 P 1.56
O (0.9307, 0.8530, 0.6270)  1 P 1.56
O (0.9585, 0.9226, 0.4235)  1 V 1.68
O (0.9832, 0.8573, 0.8961)  1 V 1.64

Results
Its calculated total energy is -97.41 eV per formula unit. The space group is P2_12_12_1 (19). The calculation puts the energy with MP2020 corrections at -6.84 eV/atom. For the formation energy, the calculation gives -1.56 eV per atom.